(1)
A plane-wave DFT calculation with PBE-GGA was carried out for crystalline Na2P2H2O7 at its relaxed geometry.

extended XYZ file:
```
52
Lattice="0.000 6.212 13.893 3.467 0.000 13.893 3.467 6.212 0.000" Properties=species:S:1:pos:R:3 pbc="T T T"
Na 4.505 7.569 26.414
Na 5.897 11.068 26.414
Na 5.897 7.569 15.267
Na 4.505 11.068 15.267
Na 4.163 7.962 8.320
Na 2.772 4.463 8.320
Na 2.772 7.962 19.467
Na 4.163 4.463 19.467
P 4.572 7.981 11.910
P 2.363 4.444 11.910
P 2.363 7.981 15.877
P 4.572 4.444 15.877
P 4.096 7.550 22.824
P 6.306 11.087 22.824
P 6.306 7.550 18.856
P 4.096 11.087 18.856
H 3.467 6.212 10.712
H 3.467 6.212 17.075
H 5.201 9.319 24.022
H 5.201 9.319 17.658
H 3.467 8.403 13.893
H 3.467 4.022 13.893
H 5.201 7.128 20.840
H 5.201 11.509 20.840
O 4.159 7.201 10.648
O 2.775 5.224 10.648
O 2.775 7.201 17.139
O 4.159 5.224 17.139
O 4.509 8.330 24.086
O 5.893 10.307 24.086
O 5.893 8.330 17.595
O 4.509 10.307 17.595
O 3.305 8.421 12.706
O 3.630 4.004 12.706
O 3.630 8.421 15.081
O 3.305 4.004 15.081
O 5.363 7.110 22.028
O 5.039 11.527 22.028
O 5.039 7.110 19.653
O 5.363 11.527 19.653
O 5.601 7.309 12.789
O 1.334 5.116 12.789
O 1.334 7.309 14.998
O 5.601 5.116 14.998
O 3.068 2.010 8.051
O 0.400 4.203 8.051
O 0.400 2.010 5.842
O 3.068 4.203 5.842
O 1.734 3.106 11.232
O 1.734 3.106 2.661
O 3.467 6.212 23.502
O 3.467 6.212 4.285
```

DFT formation energy in meV per atom: -2342
Space-group type: No. 70

=====

(2)
A plane-wave DFT calculation with PBE-GGA was carried out for crystalline Na4P3H3O11 at its relaxed geometry.

extended XYZ file:
```
84
Lattice="-2.263 4.200 5.062 -3.096 -9.537 6.528 10.991 -0.131 5.022" Properties=species:S:1:pos:R:3 pbc="T T T"
Na 1.670 0.717 1.933
Na 6.904 -4.132 8.295
Na -0.435 -2.138 3.578
Na 6.981 -7.013 10.938
Na 1.300 -6.604 8.841
Na 4.876 -1.860 6.503
Na 6.877 1.187 5.088
Na 1.120 -3.532 6.429
Na -1.245 -6.655 11.524
Na 4.512 -1.936 10.184
Na 4.331 1.136 7.772
Na 0.756 -3.608 10.109
Na -1.349 1.545 5.675
Na 6.067 -3.330 13.035
Na -1.272 -1.336 8.317
Na 3.962 -6.185 14.680
P 2.942 -2.428 3.330
P 4.953 -7.239 8.220
P -1.621 -4.826 5.276
P 9.517 -0.172 6.394
P 3.835 0.239 4.299
P 3.689 -4.546 8.203
P 7.306 -0.394 8.372
P -1.675 -5.074 8.240
P 1.943 -0.922 8.409
P 1.797 -5.707 12.314
P -3.885 -5.296 10.219
P 7.252 -0.642 11.337
H 5.496 -0.065 2.511
H 3.948 -4.834 5.775
H 7.405 -1.769 5.045
H 0.749 -6.477 5.975
H 0.904 0.161 4.782
H 5.240 -4.677 10.735
H -1.132 2.100 2.531
H -2.680 -2.669 5.795
H 4.728 -5.630 11.830
H 0.392 -0.791 5.878
H -1.773 -3.699 11.567
H 4.882 1.009 10.637
O 6.702 -2.473 5.048
O 1.193 -7.195 6.502
O 1.768 -3.041 4.051
O 5.164 -7.868 9.574
O -0.152 -0.764 1.464
O 8.421 -5.653 9.353
O -0.137 -5.179 5.219
O 8.582 -0.496 5.232
O 1.521 -8.920 9.521
O 4.172 -4.165 6.761
O 3.695 -1.399 4.324
O 3.729 -6.186 8.311
O -2.182 -5.349 6.730
O 8.775 -0.693 7.765
O -1.773 -3.266 5.255
O 6.567 -8.152 13.037
O 2.421 0.805 4.210
O 4.693 -4.009 9.219
O 4.637 0.481 5.555
O 2.219 -4.277 8.421
O -1.114 -6.352 8.812
O 6.481 -1.655 8.312
O 0.074 -0.308 5.068
O 5.557 -5.160 11.544
O -0.850 -3.813 8.301
O 6.745 0.884 7.800
O 3.413 -1.191 8.191
O 0.995 -5.949 11.058
O 0.939 -1.459 7.393
O 3.211 -6.273 12.403
O -0.935 2.684 3.576
O 7.405 -2.202 11.358
O -3.143 -4.776 8.847
O 7.814 -0.119 9.883
O 1.903 0.718 8.302
O 1.937 -4.069 12.288
O 4.111 3.452 7.092
O 1.460 -1.303 9.851
O -2.950 -4.972 11.381
O 5.769 -0.289 11.394
O -2.789 0.185 7.259
O 5.784 -4.704 15.148
O 0.468 2.400 7.038
O 3.864 -2.427 12.561
```

DFT formation energy in meV per atom: -2342
Space-group type: No. 60

=====

(3)
A plane-wave DFT calculation with PBE-GGA was carried out for crystalline Na2P3HO9 at its relaxed geometry.

extended XYZ file:
```
30
Lattice="6.789 0.000 0.000 0.000 7.269 0.000 -1.704 -0.318 7.663" Properties=species:S:1:pos:R:3 pbc="T T T"
Na 2.530 4.405 6.478
Na 2.554 2.546 1.185
Na -0.857 4.479 6.538
Na 5.942 2.472 1.125
P -0.677 0.927 5.959
P 5.761 6.024 1.704
P 2.321 0.987 5.947
P 2.763 5.964 1.716
P 4.265 2.458 4.232
P 0.819 4.494 3.431
H 4.006 6.860 6.296
H 1.078 0.091 1.367
O -0.718 1.967 7.041
O 5.803 4.985 0.622
O 2.406 1.999 7.042
O 2.678 4.952 0.621
O 2.944 6.865 6.290
O 2.140 0.086 1.373
O -1.322 6.854 6.218
O 6.406 0.097 1.445
O 0.852 0.613 5.486
O 4.232 6.338 2.177
O 5.538 1.493 4.563
O -0.453 5.458 3.100
O 2.985 1.463 4.582
O 2.100 5.489 3.081
O 4.241 3.624 5.164
O 0.843 3.327 2.499
O 0.838 4.322 4.909
O 4.246 2.629 2.754
```

Offset from the most stable computed form in eV per atom: 0.005
DFT formation energy in meV per atom: -2496
Space-group type: No. 2